Model a:
DFT (PBE+U) results for a relaxed structure of Li2Cr2FeO6.

* crystal system: triclinic
* volume: 331.8 Å³ per cell
* symmetry: P-1

Cell lengths 6.6459, 6.6439, 8.4131 Å; angles 70.94, 109.10, 96.47 degrees
Closest atoms and distances in Å follow each position.
Sites, in units of the cell vectors:
O (0.3120, 0.3363, 0.7579)  1 Cr 1.98, 2 Fe 1.98-2.08, 1 Li 2.09
O (0.0269, 0.3213, 0.9182)  1 Fe 1.93, 2 Cr 2.03
Fe (0.3343, 0.3341, 0.9989)  6 O 1.93-2.02
Cr (0.6692, 0.0006, 0.6656)  6 O 1.97-2.03
O (0.6803, 0.3195, 0.5726)  3 Cr 1.97-2.01, 2 Li 2.19
Li (0.0035, 0.3348, 0.1682)  6 O 2.15-2.24
O (0.6789, 0.9759, 0.9143)  3 Cr 1.98-2.02, 2 Li 2.18-2.20
O (0.6398, 0.0120, 0.4152)  1 Fe 1.93, 2 Cr 2.03
Li (0.6632, 0.9986, 0.1651)  6 O 2.15-2.24
O (0.0098, 0.6462, 0.5828)  2 Cr 1.97-2.01, 1 Fe 2.04, 2 Li 2.15-2.17
O (0.3222, 0.0278, 0.0856)  2 Fe 1.93-2.02, 1 Cr 2.04, 1 Li 2.15
O (0.0192, 0.9914, 0.2426)  1 Fe 1.97, 2 Cr 1.97-2.01, 1 Li 2.16
O (0.9864, 0.0138, 0.7608)  3 Cr 1.97-2.01, 2 Li 2.19
O (0.3547, 0.9970, 0.5754)  1 Cr 1.98, 2 Fe 1.98-2.08, 1 Li 2.09
Li (0.3343, 0.0058, 0.8307)  6 O 2.09-2.30
Li (0.6687, 0.6666, 0.5011)  6 O 2.15-2.22
Cr (0.0011, 0.6723, 0.3352)  6 O 1.97-2.03
Cr (0.6674, 0.3337, 0.3322)  6 O 1.97-2.04
O (0.3445, 0.3055, 0.2477)  2 Fe 1.93-2.02, 1 Cr 2.04, 1 Li 2.15
O (0.3230, 0.6926, 0.4196)  2 Fe 1.93-2.01, 1 Cr 2.03
Li (0.9980, 0.6668, 0.8322)  6 O 2.15-2.22
Cr (0.6656, 0.6610, 0.9981)  6 O 1.97-2.03
O (0.9878, 0.3574, 0.4191)  3 Cr 1.98-2.02, 2 Li 2.18-2.20
O (0.6568, 0.6872, 0.7506)  2 Cr 1.97-2.01, 1 Fe 2.04, 2 Li 2.15-2.17
O (0.6474, 0.3419, 0.0907)  1 Fe 1.97, 2 Cr 1.97-2.01, 1 Li 2.16
Fe (0.3333, 0.6667, 0.6667)  6 O 2.01-2.08
O (0.6880, 0.6523, 0.2462)  3 Cr 1.97-2.03, 1 Li 2.18
O (0.3437, 0.6408, 0.9138)  2 Fe 1.93-2.01, 1 Cr 2.03
Cr (0.9975, 0.3328, 0.6677)  6 O 1.97-2.03
O (0.9787, 0.6810, 0.0871)  3 Cr 1.97-2.03, 1 Li 2.18
Fe (0.3324, 0.9993, 0.3344)  6 O 1.93-2.02
Li (0.3324, 0.3275, 0.5026)  6 O 2.09-2.30
Cr (0.9993, 0.9996, 0.0012)  6 O 1.97-2.04



Model b:
DFT (PBE+U) results for a relaxed structure of Li2Cr2FeO6.

* crystal system: orthorhombic
* volume: 226.3 Å³ per cell
* symmetry: Cmce

Cell lengths 5.0779, 5.0779, 10.1383 Å; angles 90.00, 90.00, 120.04 degrees
Closest atoms and distances in Å follow each position.
Sites, in units of the cell vectors:
O (0.9932, 0.3251, 0.8947)  1 Fe 1.98, 2 Cr 2.01-2.03, 2 Li 2.05-2.10
Cr (0.6637, 0.3363, 0.0000)  6 O 2.00-2.03
O (0.1881, 0.1881, 0.5994)  1 Fe 1.88, 2 Cr 2.00
Cr (0.8363, 0.1637, 0.5000)  6 O 2.00-2.03
Fe (0.0000, 0.0000, 0.0000)  6 O 1.88-1.98
O (0.4932, 0.8251, 0.6053)  1 Fe 1.98, 2 Cr 2.01-2.03, 2 Li 2.05-2.10
O (0.3119, 0.3119, 0.0994)  1 Fe 1.88, 2 Cr 2.00
Cr (0.3363, 0.6637, 0.0000)  6 O 2.00-2.03
Li (0.8481, 0.3481, 0.2500)  4 O 2.05-2.10
Li (0.6519, 0.1519, 0.7500)  4 O 2.05-2.10
Fe (0.5000, 0.5000, 0.5000)  6 O 1.88-1.98
O (0.5068, 0.1749, 0.3947)  1 Fe 1.98, 2 Cr 2.01-2.03, 2 Li 2.05-2.10
O (0.8119, 0.8119, 0.4006)  1 Fe 1.88, 2 Cr 2.00
Li (0.1519, 0.6519, 0.7500)  4 O 2.05-2.10
Li (0.3481, 0.8481, 0.2500)  4 O 2.05-2.10
O (0.8251, 0.4932, 0.6053)  1 Fe 1.98, 2 Cr 2.01-2.03, 2 Li 2.05-2.10
O (0.0068, 0.6749, 0.1053)  1 Fe 1.98, 2 Cr 2.01-2.03, 2 Li 2.05-2.10
Cr (0.1637, 0.8363, 0.5000)  6 O 2.00-2.03
O (0.6749, 0.0068, 0.1053)  1 Fe 1.98, 2 Cr 2.01-2.03, 2 Li 2.05-2.10
O (0.6881, 0.6881, 0.9006)  1 Fe 1.88, 2 Cr 2.00
O (0.1749, 0.5068, 0.3947)  1 Fe 1.98, 2 Cr 2.01-2.03, 2 Li 2.05-2.10
O (0.3251, 0.9932, 0.8947)  1 Fe 1.98, 2 Cr 2.01-2.03, 2 Li 2.05-2.10



Energies relative to the most stable structure, in meV/atom: model a 0; model b 43.



Model a:
DFT (PBE+U) results for a relaxed structure of MgCr2Fe3NiP6O24.

* crystal system: trigonal
* volume: 454.5 Å³ per cell
* symmetry: R3

Cell lengths 8.6051, 8.6055, 8.6055 Å; angles 60.37, 60.38, 60.38 degrees
Closest atoms and distances in Å follow each position.
Sites, in units of the cell vectors:
O (0.1937, 0.3919, 0.0036)  1 P 1.56
O (0.5219, 0.9116, 0.6570)  1 P 1.54
O (0.4510, 0.2583, 0.6071)  1 P 1.58
Mg (0.3754, 0.3750, 0.3750)  6 O 2.02-2.10
O (0.6075, 0.4508, 0.2582)  1 P 1.58
O (0.3920, 0.0036, 0.1936)  1 P 1.56
O (0.7569, 0.9381, 0.1038)  1 P 1.54
O (0.9119, 0.6569, 0.5220)  1 P 1.54
O (0.0610, 0.8928, 0.2517)  1 P 1.60
O (0.7534, 0.4147, 0.5703)  1 P 1.56
P (0.7538, 0.4630, 0.0511)  4 O 1.50-1.60
O (0.4147, 0.5703, 0.7532)  1 P 1.56
Cr (0.5083, 0.5080, 0.5080)  6 O 2.10
O (0.8930, 0.2516, 0.0608)  1 P 1.60
P (0.4633, 0.0513, 0.7536)  4 O 1.50-1.60
P (0.9502, 0.2564, 0.5592)  4 O 1.54-1.56
P (0.0517, 0.7536, 0.4631)  4 O 1.50-1.60
O (0.5949, 0.9950, 0.8528)  1 P 1.50
Cr (0.0004, 0.0002, 0.0002)  6 O 2.06-2.12
Fe (0.1316, 0.1314, 0.1315)  6 O 2.04-2.17
O (0.6571, 0.5214, 0.9117)  1 P 1.54
O (0.8532, 0.5946, 0.9947)  1 P 1.50
O (0.1039, 0.7567, 0.9382)  1 P 1.54
O (0.2519, 0.0608, 0.8928)  1 P 1.60
O (0.5704, 0.7533, 0.4146)  1 P 1.56
O (0.2587, 0.6071, 0.4506)  1 P 1.58
O (0.9958, 0.8527, 0.5946)  1 P 1.50
O (0.4907, 0.1213, 0.3191)  1 P 1.56
Fe (0.6564, 0.6562, 0.6562)  3 O 1.91
O (0.3192, 0.4906, 0.1213)  1 P 1.56
Fe (0.2493, 0.2492, 0.2492)  6 O 2.01-2.05
O (0.1214, 0.3191, 0.4905)  1 P 1.56
P (0.5593, 0.9501, 0.2564)  4 O 1.54-1.56
O (0.0036, 0.1937, 0.3919)  1 P 1.56
P (0.2565, 0.5592, 0.9501)  4 O 1.54-1.56
Ni (0.8576, 0.8574, 0.8573)  6 O 1.98-2.19
O (0.9382, 0.1038, 0.7568)  1 P 1.54



Model b:
DFT (PBE+U) results for a relaxed structure of MgCr2Fe3NiP6O24.

* crystal system: trigonal
* volume: 451.1 Å³ per cell
* symmetry: R3

Cell lengths 8.5779, 8.5782, 8.5780 Å; angles 60.48, 60.47, 60.47 degrees
Closest atoms and distances in Å follow each position.
Sites, in units of the cell vectors:
O (0.3424, 0.4874, 0.0970)  1 P 1.53
Fe (0.1488, 0.1488, 0.1490)  6 O 1.92-2.14
P (0.2463, 0.5454, 0.9578)  4 O 1.52-1.58
O (0.0204, 0.1493, 0.4058)  1 P 1.52
Cr (0.0045, 0.0044, 0.0045)  6 O 2.08-2.10
Cr (0.4957, 0.4958, 0.4960)  6 O 2.07-2.12
O (0.8887, 0.6869, 0.5001)  1 P 1.53
P (0.7499, 0.4495, 0.0520)  4 O 1.53-1.57
O (0.6868, 0.4999, 0.8890)  1 P 1.53
O (0.4309, 0.2532, 0.5934)  1 P 1.57
O (0.5932, 0.4310, 0.2534)  1 P 1.57
O (0.2486, 0.0684, 0.9079)  1 P 1.57
O (0.0684, 0.9077, 0.2488)  1 P 1.57
P (0.4496, 0.0518, 0.7500)  4 O 1.53-1.57
O (0.6159, 0.9988, 0.8098)  1 P 1.53
O (0.7510, 0.3890, 0.5516)  1 P 1.57
O (0.9077, 0.2486, 0.0685)  1 P 1.57
O (0.2532, 0.5932, 0.4311)  1 P 1.57
P (0.0517, 0.7499, 0.4498)  4 O 1.53-1.57
P (0.5454, 0.9576, 0.2465)  4 O 1.52-1.58
Mg (0.7493, 0.7494, 0.7501)  6 O 2.06-2.07
O (0.3890, 0.5513, 0.7511)  1 P 1.57
O (0.7527, 0.9492, 0.1033)  1 P 1.58
Fe (0.3513, 0.3512, 0.3514)  6 O 1.92-2.14
O (0.4999, 0.8888, 0.6871)  1 P 1.53
O (0.9491, 0.1031, 0.7529)  1 P 1.58
O (0.9988, 0.8095, 0.6162)  1 P 1.53
O (0.5513, 0.7510, 0.3892)  1 P 1.57
Fe (0.6287, 0.6287, 0.6285)  6 O 2.07-2.14
O (0.1493, 0.4057, 0.0206)  1 P 1.52
O (0.4875, 0.0968, 0.3426)  1 P 1.53
O (0.1031, 0.7527, 0.9494)  1 P 1.58
Ni (0.8710, 0.8709, 0.8712)  6 O 2.02-2.11
P (0.9576, 0.2463, 0.5456)  4 O 1.52-1.58
O (0.0968, 0.3424, 0.4877)  1 P 1.53
O (0.4056, 0.0204, 0.1496)  1 P 1.52
O (0.8096, 0.6159, 0.9990)  1 P 1.54



Model c:
DFT (PBE+U) results for a relaxed structure of MgCr2Fe3NiP6O24.

* crystal system: triclinic
* volume: 453.3 Å³ per cell
* symmetry: P1

Cell lengths 8.7551, 8.4435, 8.4838 Å; angles 61.74, 60.31, 60.93 degrees
Closest atoms and distances in Å follow each position.
Sites, in units of the cell vectors:
Ni (0.8466, 0.8636, 0.8573)  5 O 1.97-2.09
O (0.7748, 0.4014, 0.5695)  1 P 1.53
O (0.4072, 0.5610, 0.7505)  1 P 1.55
Mg (0.1253, 0.3771, 0.7588)  5 O 2.08-2.24
O (0.1785, 0.3937, 0.9627)  1 P 1.57
O (0.4095, 0.9896, 0.1726)  1 P 1.54
O (0.6013, 0.0173, 0.8123)  1 P 1.49
O (0.2456, 0.0721, 0.9066)  1 P 1.63
O (0.3060, 0.4684, 0.1178)  1 P 1.52
O (0.4868, 0.8933, 0.6819)  1 P 1.51
O (0.0570, 0.9189, 0.2449)  1 P 1.60
O (0.1061, 0.3186, 0.5573)  1 P 1.56
P (0.0286, 0.7647, 0.4513)  4 O 1.50-1.60
O (0.0451, 0.1889, 0.3884)  1 P 1.53
O (0.2159, 0.5917, 0.4494)  1 P 1.58
Cr (0.5143, 0.4945, 0.4924)  5 O 2.13-2.34
O (0.5911, 0.4323, 0.2424)  1 P 1.57
O (0.4142, 0.2587, 0.6039)  1 P 1.61
O (0.9469, 0.0846, 0.7583)  1 P 1.56
O (0.8746, 0.7007, 0.4895)  1 P 1.52
P (0.7382, 0.4590, 0.0360)  4 O 1.51-1.61
O (0.6536, 0.5043, 0.8944)  1 P 1.52
P (0.4549, 0.0466, 0.7501)  4 O 1.49-1.63
Fe (0.3530, 0.3588, 0.3488)  5 O 1.89-2.10
O (0.9926, 0.8418, 0.5980)  1 P 1.50
P (0.9661, 0.2492, 0.5658)  4 O 1.53-1.56
O (0.7502, 0.9448, 0.0964)  1 P 1.56
P (0.2473, 0.5435, 0.9467)  4 O 1.52-1.57
O (0.4923, 0.1058, 0.3350)  1 P 1.52
Fe (0.1675, 0.1295, 0.1571)  5 O 1.89-2.11
O (0.8243, 0.6023, 0.9838)  1 P 1.51
P (0.5533, 0.9503, 0.2524)  4 O 1.52-1.56
Cr (0.9949, 0.9940, 0.0040)  6 O 2.04-2.24
Fe (0.6409, 0.6476, 0.6413)  6 O 1.93-2.12
O (0.5707, 0.7488, 0.4019)  1 P 1.56
O (0.0929, 0.7404, 0.9492)  1 P 1.55
O (0.9101, 0.2638, 0.0212)  1 P 1.61



Energies relative to the most stable structure, in meV/atom: model a 41; model b 0; model c 70.